Material: Mg149Se
Method: DFT, PBE
State: optimized geometry

POSCAR file:
```
Mg149Se
1.0
15.9099 0.0000 0.0000
-7.9550 13.7784 0.0000
0.0000 0.0000 15.5852
Mg Se
149 1
direct
0.0000 0.0000 0.0000
0.0000 0.0000 0.3339
0.0000 0.0000 0.6661
0.9999 0.2000 0.0000
0.0002 0.2001 0.3338
0.0002 0.2001 0.6662
0.0001 0.4002 0.0000
0.0001 0.5999 0.0000
0.9999 0.7998 0.0000
0.0002 0.8001 0.3338
0.0002 0.8001 0.6662
0.0010 0.4005 0.3340
0.0010 0.4005 0.6660
0.0010 0.6005 0.3340
0.0010 0.6005 0.6660
0.1330 0.0665 0.1672
0.1328 0.0664 0.5000
0.1330 0.0665 0.8328
0.1334 0.2669 0.1672
0.1335 0.2669 0.5000
0.1334 0.2669 0.8328
0.1334 0.4668 0.1662
0.1334 0.4668 0.8338
0.1334 0.6666 0.1662
0.1334 0.6666 0.8338
0.1334 0.8666 0.1672
0.1335 0.8665 0.5000
0.1334 0.8666 0.8328
0.1339 0.4656 0.5000
0.1339 0.6683 0.5000
0.2002 0.0001 0.0000
0.1999 0.9998 0.3338
0.1999 0.9998 0.6662
0.2002 0.2000 0.0000
0.1999 0.2001 0.3338
0.1999 0.2001 0.6662
0.2000 0.3999 0.0000
0.1999 0.3999 0.3328
0.1999 0.3999 0.6672
0.2005 0.6002 0.0000
0.2000 0.8000 0.0000
0.1999 0.8001 0.3328
0.1999 0.8001 0.6672
0.2011 0.6005 0.3332
0.2011 0.6005 0.6668
0.3317 0.4656 0.5000
0.3317 0.8661 0.5000
0.3334 0.0667 0.1668
0.3334 0.0667 0.8332
0.3334 0.2668 0.1668
0.3334 0.2668 0.8332
0.3334 0.4668 0.1662
0.3334 0.4668 0.8338
0.3333 0.6667 0.1684
0.3333 0.6667 0.8316
0.3334 0.8666 0.1662
0.3334 0.8666 0.8338
0.3337 0.0673 0.5000
0.3337 0.2663 0.5000
0.3995 0.6005 0.3332
0.3995 0.6005 0.6668
0.3995 0.7989 0.3332
0.3995 0.7989 0.6668
0.4001 0.9999 0.0000
0.4000 0.2000 0.0000
0.4002 0.2001 0.3337
0.4002 0.2001 0.6663
0.4001 0.4002 0.0000
0.3995 0.4005 0.3340
0.3995 0.4005 0.6660
0.3998 0.6002 0.0000
0.3998 0.7995 0.0000
0.3995 0.9990 0.3340
0.3995 0.9990 0.6660
0.5326 0.0652 0.5000
0.5332 0.0663 0.1675
0.5332 0.0663 0.8325
0.5332 0.4668 0.1675
0.5326 0.4674 0.5000
0.5332 0.4668 0.8325
0.5332 0.6666 0.1662
0.5332 0.6666 0.8338
0.5332 0.8666 0.1662
0.5332 0.8666 0.8338
0.5336 0.2668 0.1672
0.5339 0.2670 0.5000
0.5336 0.2668 0.8328
0.5344 0.6683 0.5000
0.5344 0.8661 0.5000
0.5995 0.6005 0.3340
0.5995 0.6005 0.6660
0.5995 0.9990 0.3340
0.5995 0.9990 0.6660
0.5998 0.9999 0.0000
0.5999 0.1997 0.0000
0.5998 0.1995 0.3339
0.5998 0.1995 0.6661
0.5999 0.4001 0.0000
0.5998 0.4002 0.3339
0.5998 0.4002 0.6661
0.5998 0.5999 0.0000
0.6001 0.8000 0.0000
0.6001 0.8001 0.3328
0.6001 0.8001 0.6672
0.7332 0.0667 0.1668
0.7332 0.0667 0.8332
0.7332 0.2668 0.1672
0.7330 0.2670 0.5000
0.7332 0.2668 0.8328
0.7332 0.4664 0.1672
0.7330 0.4661 0.5000
0.7332 0.4664 0.8328
0.7332 0.6666 0.1668
0.7332 0.6666 0.8332
0.7331 0.8666 0.1672
0.7331 0.8665 0.5000
0.7331 0.8666 0.8328
0.7337 0.0673 0.5000
0.7337 0.6663 0.5000
0.8000 0.0001 0.0000
0.7999 0.9998 0.3338
0.7999 0.9998 0.6662
0.8000 0.2000 0.0000
0.7999 0.2001 0.3337
0.7999 0.2001 0.6663
0.8003 0.4001 0.0000
0.8005 0.4002 0.3339
0.8005 0.4002 0.6661
0.8000 0.6000 0.0000
0.7999 0.5998 0.3337
0.7999 0.5998 0.6663
0.8000 0.7998 0.0000
0.7999 0.8001 0.3338
0.7999 0.8001 0.6662
0.9327 0.2663 0.5000
0.9333 0.2668 0.1668
0.9333 0.2668 0.8332
0.9327 0.6663 0.5000
0.9333 0.6666 0.1668
0.9333 0.6666 0.8332
0.9335 0.0665 0.1672
0.9336 0.0664 0.5000
0.9335 0.0665 0.8328
0.9337 0.4668 0.1675
0.9337 0.4668 0.8325
0.9335 0.8670 0.1672
0.9336 0.8672 0.5000
0.9335 0.8670 0.8328
0.9348 0.4674 0.5000
0.3333 0.6667 0.5000
```

Properties
Total moment: 0.01 μB per cell
VASP energy: -1.643 eV per atom



Material: Al2P3H3O9
Method: DFT, PBE
State: optimized geometry

POSCAR file:
```
Al2P3H3O9
1.0
7.9827 0.0000 0.0000
-3.9914 6.9132 0.0000
0.0000 0.0000 7.1817
Al P H O
4 6 6 18
direct
0.3333 0.6667 0.0546
0.3333 0.6667 0.4454
0.6667 0.3333 0.5546
0.6667 0.3333 0.9454
0.0494 0.6866 0.7500
0.3134 0.3628 0.7500
0.3628 0.0494 0.2500
0.6372 0.9506 0.7500
0.6866 0.6372 0.2500
0.9506 0.3134 0.2500
0.0123 0.1769 0.2500
0.1646 0.9877 0.2500
0.1769 0.1646 0.7500
0.8231 0.8354 0.2500
0.8354 0.0123 0.7500
0.9877 0.8231 0.7500
0.1382 0.5167 0.2500
0.1639 0.7186 0.5713
0.1639 0.7186 0.9287
0.2814 0.4453 0.5713
0.2814 0.4453 0.9287
0.3785 0.8618 0.2500
0.4453 0.1639 0.0713
0.4453 0.1639 0.4287
0.4833 0.6215 0.2500
0.5167 0.3785 0.7500
0.5547 0.8361 0.5713
0.5547 0.8361 0.9287
0.6215 0.1382 0.7500
0.7186 0.5547 0.0713
0.7186 0.5547 0.4287
0.8361 0.2814 0.0713
0.8361 0.2814 0.4287
0.8618 0.4833 0.7500
```

Properties
Total moment: 0.00 μB per cell
VASP energy: -6.669 eV per atom



Material: KSbPO4F2
Method: DFT, PBE
State: optimized geometry

POSCAR file:
```
KSbPO4F2
1.0
9.3912 0.0000 0.0000
0.0000 7.1650 0.0000
-4.6413 0.0000 9.3819
K Sb P O F
4 4 4 16 8
direct
0.0825 0.2494 0.4070
0.0825 0.2506 0.9070
0.9175 0.7494 0.0930
0.9175 0.7506 0.5930
0.3160 0.7502 0.4947
0.3160 0.7498 0.9947
0.6840 0.2502 0.0053
0.6840 0.2498 0.5053
0.3434 0.0780 0.2587
0.3434 0.4220 0.7587
0.6566 0.5780 0.2413
0.6566 0.9220 0.7413
0.2676 0.2324 0.7341
0.2676 0.2676 0.2341
0.2744 0.5384 0.8467
0.2744 0.9616 0.3467
0.2937 0.5218 0.6111
0.2937 0.9782 0.1111
0.4703 0.5749 0.1629
0.4703 0.9251 0.6629
0.5297 0.0749 0.3371
0.5297 0.4251 0.8371
0.7063 0.0218 0.8889
0.7063 0.4782 0.3889
0.7256 0.0384 0.6533
0.7256 0.4616 0.1533
0.7324 0.7324 0.7659
0.7324 0.7676 0.2659
0.1341 0.6171 0.3398
0.1341 0.8829 0.8398
0.1525 0.6220 0.0254
0.1525 0.8780 0.5254
0.8475 0.1220 0.4746
0.8475 0.3780 0.9746
0.8659 0.1171 0.1602
0.8659 0.3829 0.6602
```

Properties
Total moment: 4.00 μB per cell
VASP energy: -5.864 eV per atom



Material: MgBi4O8
Method: DFT, PBE
State: optimized geometry

POSCAR file:
```
MgBi4O8
1.0
3.4682 0.0000 0.0000
-1.6954 8.3629 0.0000
-1.7236 -0.5472 8.7899
Mg Bi O
1 4 8
direct
0.0000 0.0000 0.0000
0.2767 0.8246 0.7170
0.4612 0.5038 0.4021
0.8225 0.5698 0.0586
0.9979 0.2379 0.7366
0.0866 0.6478 0.5122
0.2058 0.4651 0.9273
0.4405 0.6729 0.1944
0.4629 0.3088 0.6002
0.4985 0.0689 0.9287
0.8154 0.9743 0.6459
0.8262 0.4030 0.2291
0.8554 0.7727 0.9255
```

Properties
Total moment: 0.00 μB per cell
Distance to the lowest polymorph of the same formula: 150 meV per atom



Material: Tl2CuI8N4
Method: DFT, PBE
State: optimized geometry

POSCAR file:
```
Tl2CuI8N4
1.0
7.6631 0.0000 0.0000
0.0000 14.6144 0.0000
-4.0275 0.0000 10.5506
Tl Cu I N
4 2 16 8
direct
0.1833 0.1872 0.9998
0.1833 0.3128 0.4998
0.8167 0.6872 0.5002
0.8167 0.8128 0.0002
0.5000 0.0000 0.5000
0.5000 0.5000 0.0000
0.1489 0.6316 0.4669
0.1489 0.8684 0.9669
0.1745 0.1076 0.4502
0.1745 0.3924 0.9502
0.2038 0.1215 0.7705
0.2038 0.3785 0.2705
0.4859 0.6518 0.2841
0.4859 0.8482 0.7841
0.5141 0.1518 0.2159
0.5141 0.3482 0.7159
0.7962 0.6215 0.7295
0.7962 0.8785 0.2295
0.8255 0.6076 0.0498
0.8255 0.8924 0.5498
0.8511 0.1316 0.0331
0.8511 0.3684 0.5331
0.2736 0.6557 0.8526
0.2736 0.8443 0.3526
0.3591 0.5927 0.8875
0.3591 0.9073 0.3875
0.6409 0.0927 0.6125
0.6409 0.4073 0.1125
0.7264 0.1557 0.6474
0.7264 0.3443 0.1474
```

Properties
Total moment: 1.67 μB per cell
VASP energy: -3.668 eV per atom



Material: NpTe
Method: DFT, PBE
State: optimized geometry

POSCAR file:
```
NpTe
1.0
0.0000 3.1101 3.1101
3.1101 0.0000 3.1101
3.1101 3.1101 0.0000
Np Te
1 1
direct
0.0000 0.0000 0.0000
0.5000 0.5000 0.5000
```

Properties
VASP energy: -8.625 eV per atom



Material: Na18Mg4Ta8Si15S3O72
Method: DFT, PBE
State: optimized geometry

POSCAR file:
```
Na18Mg4Ta8Si15S3O72
1.0
9.0715 0.0000 0.0000
-4.5347 7.8604 0.0000
-0.0134 -0.0145 22.4004
Na Mg Ta Si S O
18 4 8 15 3 72
direct
0.0000 0.0000 0.0000
0.9999 0.6914 0.5765
0.0043 0.3520 0.8468
0.0079 0.0494 0.3464
0.0129 0.6868 0.0784
0.0622 0.0501 0.6677
0.0684 0.4065 0.1633
0.3097 0.0529 0.1625
0.3115 0.6529 0.6678
0.3232 0.7313 0.0009
0.3444 0.3787 0.2482
0.3624 0.3830 0.7496
0.3695 0.0480 0.8456
0.6639 0.0222 0.4237
0.6646 0.4051 0.6624
0.6678 0.6556 0.1691
0.6789 0.3501 0.3475
0.6817 0.0417 0.9225
0.0012 0.6896 0.4386
0.0183 0.6968 0.9395
0.3401 0.3622 0.1111
0.3555 0.3696 0.6104
0.0097 0.6980 0.7365
0.0185 0.7016 0.2368
0.3408 0.3558 0.9015
0.3591 0.3702 0.4016
0.6752 0.0324 0.2778
0.6783 0.0418 0.5683
0.6831 0.0342 0.7771
0.6836 0.0477 0.0684
0.0066 0.9853 0.8441
0.0171 0.4121 0.3414
0.0543 0.3695 0.0102
0.3025 0.9826 0.3450
0.3085 0.7011 0.8420
0.3476 0.0740 0.0109
0.3861 0.0300 0.6734
0.3893 0.7484 0.1707
0.6485 0.3740 0.5116
0.6855 0.3326 0.1745
0.6865 0.7501 0.6701
0.7237 0.4140 0.8407
0.7278 0.7059 0.3410
0.9666 0.0289 0.1730
0.9709 0.3289 0.6724
0.0546 0.0805 0.5085
0.3518 0.6587 0.5088
0.6330 0.6563 0.0083
0.0275 0.5292 0.0008
0.0384 0.8922 0.7848
0.0378 0.9117 0.5054
0.0491 0.5308 0.2793
0.1431 0.1862 0.4534
0.1460 0.1700 0.5630
0.1523 0.1951 0.1733
0.1571 0.3508 0.6669
0.1579 0.3443 0.9505
0.1618 0.3910 0.0695
0.1789 0.6681 0.7831
0.1811 0.8865 0.0054
0.1816 0.9001 0.2832
0.1843 0.3864 0.3507
0.1865 0.1785 0.8453
0.2034 0.7405 0.1767
0.2027 0.8506 0.6786
0.2068 0.6857 0.5026
0.2186 0.8705 0.4015
0.2436 0.7535 0.8999
0.3178 0.5244 0.8472
0.3193 0.1790 0.3503
0.3355 0.1672 0.0695
0.3401 0.5684 0.5646
0.3582 0.1910 0.6712
0.3639 0.5601 0.4559
0.3670 0.1927 0.9494
0.3722 0.5641 0.1703
0.4824 0.8671 0.1110
0.4839 0.9988 0.6152
0.4996 0.8645 0.8287
0.5032 0.0342 0.3342
0.5065 0.8559 0.2280
0.5076 0.0530 0.7311
0.5186 0.5658 0.6699
0.5188 0.8284 0.5076
0.5200 0.3536 0.4517
0.5231 0.3575 0.1712
0.5231 0.5622 0.9553
0.5238 0.0547 0.0094
0.5311 0.3895 0.8472
0.5378 0.5283 0.3482
0.5532 0.3760 0.5714
0.5556 0.5682 0.0645
0.6377 0.8273 0.0065
0.6521 0.1854 0.5099
0.6677 0.2166 0.2329
0.6738 0.8570 0.7276
0.6871 0.2153 0.8313
0.6885 0.8625 0.3293
0.7128 0.2317 0.1159
0.7173 0.8736 0.6119
0.8066 0.6859 0.0026
0.8098 0.5261 0.7779
0.8121 0.6641 0.2808
0.8346 0.5338 0.5031
0.8398 0.2290 0.6152
0.8444 0.9990 0.1133
0.8540 0.7616 0.3956
0.8552 0.0335 0.8336
0.8572 0.2137 0.3296
0.8575 0.4919 0.8931
0.8612 0.0429 0.2301
0.8635 0.7402 0.6776
0.8661 0.5152 0.1764
0.8701 0.1791 0.0100
0.8775 0.2158 0.7322
0.8796 0.0665 0.5075
0.9518 0.4823 0.3933
0.9764 0.8519 0.1786
0.9785 0.5143 0.6765
0.9825 0.8854 0.9042
```

Properties
Total moment: 0.00 μB per cell
VASP energy: -7.264 eV per atom



Material: NaMg6CO8
Method: DFT, PBE
State: optimized geometry

POSCAR file:
```
NaMg6CO8
1.0
4.3242 0.0000 0.0000
0.0000 4.3242 0.0000
0.0000 0.0000 8.2307
Na Mg C O
1 6 1 8
direct
0.0000 0.0000 0.0000
0.0000 0.5000 0.2504
0.0000 0.5000 0.7496
0.5000 0.0000 0.2504
0.5000 0.0000 0.7496
0.5000 0.5000 0.0000
0.5000 0.5000 0.5000
0.0000 0.0000 0.5000
0.0000 0.0000 0.2989
0.0000 0.0000 0.7011
0.0000 0.5000 0.0000
0.0000 0.5000 0.5000
0.5000 0.0000 0.0000
0.5000 0.0000 0.5000
0.5000 0.5000 0.2527
0.5000 0.5000 0.7473
```

Properties
Total moment: 0.11 μB per cell
Distance to the lowest polymorph of the same formula: 0 meV per atom